## Na2Al3P3H2O14 (PBE-GGA)

Data for crystalline Na2Al3P3H2O14 at its relaxed geometry.

POSCAR file:
```
Na2Al3P3H2O14
1.0
8.567 0.000 0.000
0.000 8.572 0.000
0.000 0.000 14.460
Na Al P H O
8 12 12 8 56
Direct
0.228 0.011 0.286
0.247 0.970 0.539
0.253 0.030 0.039
0.272 0.989 0.786
0.728 0.489 0.714
0.747 0.530 0.461
0.753 0.470 0.961
0.772 0.511 0.214
0.132 0.405 0.292
0.133 0.385 0.948
0.139 0.358 0.636
0.361 0.642 0.136
0.367 0.615 0.448
0.368 0.595 0.792
0.632 0.095 0.708
0.633 0.115 0.052
0.639 0.142 0.364
0.861 0.858 0.864
0.867 0.885 0.552
0.868 0.905 0.208
0.026 0.722 0.378
0.035 0.712 0.042
0.047 0.699 0.705
0.453 0.301 0.205
0.465 0.288 0.542
0.474 0.278 0.878
0.526 0.778 0.622
0.535 0.788 0.958
0.547 0.801 0.295
0.953 0.199 0.795
0.965 0.212 0.458
0.974 0.222 0.122
0.112 0.632 0.202
0.166 0.640 0.895
0.334 0.360 0.395
0.388 0.368 0.702
0.612 0.868 0.798
0.666 0.860 0.105
0.834 0.140 0.605
0.888 0.132 0.298
0.001 0.826 0.962
0.012 0.054 0.158
0.013 0.541 0.010
0.019 0.825 0.630
0.021 0.839 0.296
0.025 0.535 0.662
0.068 0.234 0.371
0.076 0.209 0.717
0.100 0.256 0.048
0.192 0.738 0.421
0.200 0.561 0.208
0.209 0.746 0.068
0.212 0.732 0.742
0.225 0.544 0.886
0.275 0.456 0.386
0.288 0.268 0.242
0.291 0.254 0.568
0.300 0.439 0.708
0.308 0.262 0.921
0.400 0.744 0.548
0.424 0.791 0.217
0.432 0.766 0.871
0.475 0.465 0.162
0.479 0.161 0.796
0.481 0.175 0.130
0.487 0.459 0.510
0.488 0.946 0.658
0.499 0.174 0.462
0.501 0.674 0.038
0.512 0.446 0.842
0.513 0.959 0.990
0.519 0.675 0.370
0.521 0.661 0.704
0.525 0.965 0.338
0.568 0.266 0.629
0.576 0.291 0.283
0.600 0.244 0.952
0.692 0.762 0.579
0.700 0.939 0.792
0.709 0.754 0.932
0.712 0.768 0.258
0.725 0.956 0.114
0.775 0.044 0.614
0.788 0.232 0.758
0.791 0.246 0.432
0.800 0.061 0.292
0.808 0.238 0.079
0.900 0.756 0.452
0.924 0.709 0.783
0.932 0.734 0.129
0.975 0.035 0.838
0.979 0.339 0.204
0.981 0.325 0.870
0.987 0.041 0.490
0.988 0.554 0.342
0.999 0.326 0.538
```

Values from the calculation:
DFT total energy = -6.8098 eV per atom